Record 1
Compound: Mn3Ni2Te3O16
Source: the Materials Project database
Functional: PBE with a Hubbard U
Structure: optimized geometry

a = 6.136 Å, b = 6.136 Å, c = 9.140 Å
α = 88.94°, β = 88.94°, γ = 59.06°
Fractional positions:
O 0.959 0.510 0.672
O 0.168 0.682 0.890
O 0.682 0.168 0.890
O 0.479 0.040 0.165
O 0.018 0.018 0.669
O 0.645 0.645 0.913
O 0.008 0.008 0.179
O 0.476 0.476 0.178
O 0.843 0.843 0.392
O 0.323 0.844 0.397
O 0.323 0.323 0.404
O 0.510 0.959 0.672
O 0.844 0.323 0.397
O 0.159 0.159 0.900
O 0.519 0.519 0.662
O 0.040 0.479 0.165
Te 0.832 0.334 0.787
Te 0.166 0.166 0.288
Te 0.334 0.832 0.787
Mn 0.165 0.665 0.290
Mn 0.665 0.165 0.290
Mn 0.832 0.832 0.785
Ni 0.345 0.345 0.021
Ni 0.674 0.674 0.491

Results
MP2020-corrected energy, eV/f.u.: -162.86
DFT total energy, eV/atom: -5.908
DFT formation energy, eV/atom: -1.4673



Record 2
Compound: BaVOF4
Source: the Materials Project database
Functional: PBE with a Hubbard U
Structure: optimized geometry

a = 14.655 Å, b = 14.592 Å, c = 5.498 Å
α = 79.81°, β = 78.52°, γ = 21.67°
Fractional positions:
O 0.950 0.144 0.217
O 0.683 0.226 0.152
O 0.039 0.557 0.303
O 0.106 0.301 0.557
F 0.091 0.675 0.966
F 0.759 0.965 0.436
F 0.837 0.437 0.972
F 0.812 0.789 0.875
F 0.937 0.123 0.713
F 0.130 0.310 0.033
F 0.822 0.399 0.502
F 0.521 0.882 0.776
F 0.372 0.725 0.429
F 0.473 0.431 0.723
F 0.535 0.030 0.304
F 0.282 0.494 0.413
F 0.277 0.960 0.682
F 0.289 0.975 0.171
F 0.566 0.169 0.977
F 0.216 0.723 0.111
V 0.421 0.424 0.085
V 0.834 0.824 0.180
V 0.168 0.180 0.822
V 0.080 0.076 0.408
Ba 0.680 0.708 0.297
Ba 0.325 0.284 0.701
Ba 0.549 0.563 0.931
Ba 0.961 0.928 0.574

Results
MP2020-corrected energy, eV/f.u.: -47.66
DFT total energy, eV/atom: -6.204
Relative energy among the computed polymorphs, eV/f.u.: 0.09
DFT formation energy, eV/atom: -3.4362



Look up the DFT formation energy of the second one.
-3.4362 eV/atom